Below is a relaxed structure of La2P3H5O10, with properties calculated at the r²SCAN level.

Structure (CIF):
```
data_La2P3H5O10
_cell_length_a 20.8266
_cell_length_b 6.6918
_cell_length_c 14.1027
_cell_angle_alpha 90.00
_cell_angle_beta 101.24
_cell_angle_gamma 90.00
_space_group_name_H-M_alt 'C 1 2/c 1'
_space_group_IT_number 15
loop_
_space_group_symop_operation_xyz
'x,y,z'
'-x,-y,-z'
'-x,y,-z+1/2'
'x,-y,z+1/2'
'x+1/2,y+1/2,z'
'-x+1/2,-y+1/2,-z'
'-x+1/2,y+1/2,-z+1/2'
'x+1/2,-y+1/2,z+1/2'
loop_
_atom_site_label
_atom_site_fract_x
_atom_site_fract_y
_atom_site_fract_z
La1 0.1130 0.1177 0.1567
La2 0.2166 0.0006 0.9162
P1 0.0595 0.0775 0.8832
P2 0.1331 0.3687 0.5536
P3 0.2158 0.4930 0.8148
H1 0.0032 0.4080 0.1774
H2 0.0322 0.2673 0.8637
H3 0.0617 0.4401 0.6744
H4 0.0916 0.4099 0.4652
H5 0.1717 0.3654 0.7581
O1 0.0048 0.0713 0.3775
O2 0.0500 0.4265 0.1962
O3 0.0948 0.2532 0.6163
O4 0.1034 0.0414 0.8090
O5 0.1068 0.0888 0.9809
O6 0.1605 0.4322 0.0978
O7 0.1804 0.3110 0.3217
O8 0.1921 0.2524 0.5325
O9 0.2246 0.0176 0.7334
O10 0.2359 0.3805 0.9121
```

- total DFT energy (no corrections) (eV/f.u.) = -209.52
- total moment (μB per cell) = 0.0
- DFT formation energy (eV per atom) = -2.30